First-principles (PBE) data for SmErIr2 after structural relaxation, as listed in the Materials Project.

Formation energy from the elements in eV/atom: -0.763

abc: 6.902 6.902 6.902
angles: 90.00 90.00 90.00
Atoms (fractional coordinates):
Sm: 0.000 0.000 0.000
Sm: 0.000 0.500 0.500
Sm: 0.500 0.000 0.500
Sm: 0.500 0.500 0.000
Er: 0.000 0.000 0.500
Er: 0.000 0.500 0.000
Er: 0.500 0.000 0.000
Er: 0.500 0.500 0.500
Ir: 0.250 0.250 0.250
Ir: 0.250 0.250 0.750
Ir: 0.250 0.750 0.250
Ir: 0.250 0.750 0.750
Ir: 0.750 0.250 0.250
Ir: 0.750 0.250 0.750
Ir: 0.750 0.750 0.250
Ir: 0.750 0.750 0.750